Sc4Co: optimized geometry, PBE.

a b c (Å): 6.9485 6.9485 6.9485
angles (deg): 60.00 60.00 60.00
Fractional coordinates of all 10 atoms:
Sc (0.1365, 0.5905, 0.1365)
Sc (0.1595, 0.6135, 0.6135)
Sc (0.6135, 0.6135, 0.1595)
Co (0.0000, 0.0000, 0.0000)
Sc (0.1365, 0.1365, 0.1365)
Sc (0.1365, 0.1365, 0.5905)
Sc (0.6135, 0.1595, 0.6135)
Co (0.7500, 0.7500, 0.7500)
Sc (0.5905, 0.1365, 0.1365)
Sc (0.6135, 0.6135, 0.6135)

- DFT formation energy (eV per atom) = 0.289
- magnetization (μB/f.u.) = 0.0